No. 1
A plane-wave DFT calculation with GGA-PBE was carried out for a geometry-optimized NaLi2GaF6 structure.

Cell and atoms, written as POSCAR:
```
NaLi2GaF6
1.0
1.495 -0.121 5.536
-3.908 1.104 4.051
-1.889 -4.224 3.390
Na Li Ga F
1 2 1 6
Direct
0.500 0.500 0.500
0.750 0.750 0.750
0.250 0.250 0.250
0.000 0.000 0.000
0.766 0.234 0.234
0.234 0.234 0.766
0.234 0.766 0.766
0.234 0.766 0.234
0.766 0.234 0.766
0.766 0.766 0.234
```

crystal system	cubic
SG	Fm-3m, No. 225
ΔE_f	-2.834	eV/atom
spin magnetization	0.000	μB/cell



No. 2
A plane-wave DFT calculation with GGA-PBE was carried out for a geometry-optimized ZnSn3 structure.

Cell and atoms, written as POSCAR:
```
ZnSn3
1.0
0.000 3.701 3.701
3.701 0.000 3.701
3.701 3.701 0.000
Zn Sn
1 3
Direct
0.000 0.000 0.000
0.250 0.250 0.250
0.750 0.750 0.750
0.500 0.500 0.500
```

crystal system	cubic
SG	Fm-3m, No. 225
ΔE_f	0.127	eV/atom
spin magnetization	0.000	μB/cell



No. 3
A plane-wave DFT calculation with GGA-PBE was carried out for a geometry-optimized KAsO2F4 structure.

Cell and atoms, written as POSCAR:
```
KAsO2F4
1.0
-7.489 2.040 -2.430
3.996 -3.751 6.009
0.278 5.652 3.500
K As O F
2 2 4 8
Direct
0.617 0.383 0.750
0.383 0.617 0.250
0.872 0.128 0.750
0.128 0.872 0.250
0.816 0.068 0.486
0.932 0.184 0.014
0.184 0.932 0.514
0.068 0.816 0.986
0.197 0.287 0.727
0.713 0.803 0.773
0.803 0.713 0.273
0.287 0.197 0.227
0.018 0.440 0.685
0.560 0.982 0.815
0.982 0.560 0.315
0.440 0.018 0.185
```

crystal system	monoclinic
energy relative to the lowest polymorph listed for this composition	0.603	eV per formula unit
SG	C2/c, No. 15
ΔE_f	-1.959	eV/atom
spin magnetization	4.000	μB/cell



No. 4
A plane-wave DFT calculation with GGA-PBE was carried out for a geometry-optimized ScCu2Si2 structure.

Cell and atoms, written as POSCAR:
```
ScCu2Si2
1.0
3.819 0.000 0.000
0.000 3.819 0.000
-1.910 -1.910 5.050
Sc Cu Si
1 2 2
Direct
0.000 0.000 0.000
0.750 0.250 0.500
0.250 0.750 0.500
0.613 0.613 0.226
0.387 0.387 0.774
```

crystal system	tetragonal
SG	I4/mmm, No. 139
ΔE_f	-0.469	eV/atom